AlH8C2N, relaxed, DFT GGA-PBE; crystal system = monoclinic; total magnetization = 0.00 μB per formula unit; formation energy = -190 meV per atom; E (MP2020) = -719.51 eV per cell
1.0
-4.528 7.954 0.036
-5.014 -2.872 3.873
11.970 6.711 22.980
H Al C N
96 12 24 12
Cartesian
3.498 6.709 23.851
-3.750 4.337 3.603
4.745 4.932 23.250
4.190 11.770 25.560
-1.749 7.817 5.029
-2.637 7.394 15.386
6.125 13.383 21.628
-5.110 7.575 6.969
0.487 4.930 16.765
-2.761 1.787 5.438
1.022 9.823 15.103
4.645 3.888 18.525
2.264 5.518 19.025
6.108 5.091 26.390
5.596 3.564 17.047
-0.603 0.043 12.346
2.782 2.025 15.127
-5.654 6.942 4.444
-3.681 6.702 0.499
-2.613 2.036 10.375
-5.029 1.878 3.651
-0.697 4.814 8.447
-4.130 4.354 8.698
0.270 9.266 9.186
3.924 9.767 15.127
7.334 10.726 20.667
-2.262 3.499 5.572
3.496 4.205 13.290
-3.168 8.229 9.841
4.177 3.976 21.859
-1.068 7.589 13.598
1.406 1.970 11.786
-4.596 1.836 7.807
-7.706 2.430 3.888
-0.419 5.997 14.059
5.065 4.400 11.503
-1.762 0.024 1.329
3.869 4.009 16.923
7.457 9.916 23.237
-2.797 1.391 1.803
4.890 9.288 19.845
-3.026 8.461 3.961
3.079 8.697 11.983
-0.354 9.768 11.761
-2.511 3.455 11.453
2.983 2.390 19.284
10.134 9.364 23.000
5.041 9.758 16.513
0.135 4.943 10.970
1.743 4.396 13.015
2.158 2.527 17.702
3.125 6.979 18.441
7.024 9.957 19.081
-2.656 5.878 1.700
-5.507 6.962 8.604
8.441 6.500 24.499
5.454 3.333 22.927
-0.470 1.803 13.695
-2.463 2.505 7.044
7.935 4.831 18.284
-2.317 6.862 3.639
-4.906 1.067 6.221
-3.697 -1.590 5.260
5.225 10.402 25.086
5.084 5.915 25.188
2.847 5.796 12.829
4.703 12.170 19.364
0.862 9.454 20.196
3.030 11.750 14.542
-0.555 9.403 7.604
0.163 6.275 7.863
4.689 8.295 21.317
2.898 9.990 13.194
-1.496 2.027 11.762
4.938 8.339 15.436
6.558 7.440 18.191
-2.275 -0.377 7.524
5.668 6.032 20.410
-2.217 7.905 8.363
7.537 4.219 19.920
-1.441 7.784 9.965
8.082 4.852 22.444
2.518 9.515 17.970
0.026 4.854 6.809
1.941 6.864 10.124
6.178 7.456 23.285
0.684 7.397 13.874
5.189 10.007 21.450
2.292 6.851 15.919
1.566 2.340 6.693
-0.090 2.278 8.918
-6.013 5.294 2.389
-0.651 3.097 14.906
2.401 6.939 20.079
-3.241 5.762 6.478
-1.070 5.085 3.037
-0.379 9.378 15.742
1.133 9.092 18.655
-6.682 5.942 5.158
7.273 8.438 22.648
2.807 2.415 11.146
9.110 5.851 21.731
-4.846 3.356 4.241
-4.309 4.782 7.160
1.295 2.702 8.234
6.737 7.011 19.728
1.516 5.321 10.253
0.911 6.473 16.635
2.738 4.710 12.672
-2.091 7.876 3.985
0.157 5.173 7.856
-2.486 2.352 11.421
-0.479 9.839 8.613
2.906 1.954 18.275
8.279 4.774 19.329
5.292 9.085 20.852
-2.183 8.347 9.374
-6.790 4.596 2.731
10.154 8.467 22.364
4.914 9.441 15.467
-0.311 7.083 14.217
2.271 6.621 19.033
-5.851 7.019 7.559
-1.873 6.914 16.016
4.301 4.879 10.873
-5.014 1.999 6.801
-7.726 3.327 4.524
4.518 3.917 22.903
4.610 3.446 17.515
-2.864 2.708 6.036
7.442 9.794 20.088
9.218 7.197 24.158
6.727 8.678 20.768
-0.514 7.415 15.661
8.491 6.144 19.883
-6.602 4.243 4.171
0.982 7.141 18.487
2.728 1.835 9.262
9.030 7.551 22.717
1.445 4.652 8.402
-0.300 9.958 17.626
2.941 4.378 11.228
-4.299 3.115 6.120
-6.064 5.650 7.005

=====

NaAlH22C10N2O12, relaxed, DFT GGA-PBE; crystal system = triclinic; total magnetization = 0.00 μB per formula unit; formation energy = -836 meV per atom; E (MP2020) = -288.15 eV per cell
1.0
-4.868 7.588 2.407
-9.070 0.118 2.155
-3.642 2.474 8.766
C H O N Al Na
10 22 12 2 1 1
Cartesian
-11.654 7.039 9.299
-6.414 4.156 7.852
-7.360 6.295 4.564
-5.221 3.041 3.745
-3.942 2.445 3.282
-11.335 6.096 5.557
-10.396 3.751 8.761
-14.494 7.886 11.085
-9.083 2.626 4.939
-8.998 7.361 8.363
-10.841 8.945 9.289
-7.019 3.566 8.580
-14.883 8.034 10.071
-10.702 2.966 8.034
-5.585 3.832 3.061
-13.848 7.003 11.096
-11.346 6.257 9.990
-6.788 6.770 5.385
-8.841 6.780 9.276
-9.579 3.324 4.237
-3.942 1.828 2.381
-4.190 1.550 5.255
-13.928 8.767 11.411
-11.364 8.506 10.816
-13.022 7.521 7.818
-6.030 2.294 3.776
-2.985 2.841 3.624
-10.714 6.966 5.253
-15.324 7.741 11.782
-12.491 8.926 9.554
-12.793 5.804 8.130
-5.127 3.528 4.726
-5.182 3.992 7.801
-10.698 5.104 6.098
-8.760 3.110 6.092
-8.959 6.886 7.207
-12.564 6.123 5.370
-7.075 4.976 7.109
-10.967 3.837 9.859
-9.419 4.512 8.379
-9.052 8.695 8.558
-6.985 6.507 3.379
-8.362 5.569 4.886
-8.869 1.444 4.580
-12.601 6.768 8.379
-11.609 8.421 9.757
-8.892 4.966 6.628
-9.050 0.393 2.392

=====

Al3P3H9C2NO13, relaxed, DFT GGA-PBE; crystal system = monoclinic; total magnetization = 0.00 μB per formula unit; formation energy = -1998 meV per atom; E (MP2020) = -844.30 eV per cell
1.0
-3.503 2.859 16.998
-7.907 -3.689 -1.009
-1.713 -10.166 1.357
H O C P Al N
36 52 8 12 12 4
Cartesian
-8.352 -4.499 12.004
-6.243 -4.847 -0.065
-6.880 -6.148 17.411
-7.142 -7.578 0.704
-10.279 -5.692 9.279
-5.371 -0.183 9.105
-3.457 -6.300 9.426
-0.858 -2.639 0.289
-9.295 -9.533 9.601
-12.265 -8.356 17.057
-5.981 -3.418 16.642
-7.563 -4.176 16.264
-3.828 -1.462 7.745
-3.720 0.519 9.148
-0.751 -1.229 1.391
-5.560 -6.819 1.082
-2.843 -5.303 8.067
-9.956 -6.434 7.669
-8.695 -8.628 8.354
-7.752 -10.812 8.241
-3.166 -4.561 9.677
-3.651 -1.628 3.389
-9.666 -4.696 7.920
-4.770 -6.497 5.343
-4.331 -0.474 10.521
-9.471 -9.368 13.957
-9.403 -11.514 8.198
-4.428 -2.367 8.992
-12.372 -9.766 15.955
-9.239 -12.802 0.711
-8.792 -10.522 6.825
-6.079 -4.829 15.527
-7.044 -6.166 1.819
-9.877 -3.276 15.904
-3.883 1.806 16.635
-3.246 -7.720 1.442
-7.269 -4.048 6.665
-9.405 -9.629 11.522
-7.140 -2.754 4.155
-4.753 -9.356 2.802
-5.284 -5.392 13.056
-3.914 -2.575 3.442
-11.170 -7.607 11.608
-8.069 -3.568 11.854
-4.675 -10.009 5.329
-5.855 -3.616 8.717
-7.267 -7.380 8.629
-5.853 -6.947 10.681
-8.370 -1.640 14.544
-1.953 -3.389 5.738
-3.796 -4.944 4.541
-11.319 -5.401 14.288
-8.536 -10.816 4.197
-4.587 -0.180 13.149
-9.245 -3.977 14.225
-3.877 -7.019 3.121
-9.327 -6.051 12.805
-4.798 -3.537 6.499
-8.325 -7.459 10.847
-5.312 -3.630 11.231
-9.582 -9.365 16.273
-7.760 -8.029 3.689
-2.417 -8.792 4.511
-10.706 -2.203 12.835
-3.892 -4.793 1.984
-7.385 -1.927 9.883
-8.381 -7.337 17.493
-3.718 -1.367 5.824
-6.126 -0.943 15.479
-7.838 -5.603 4.290
-3.540 -1.630 1.073
-9.208 -8.421 13.904
-8.448 -0.987 12.017
-6.997 -10.052 1.867
-5.738 -9.068 7.463
-6.209 -2.891 1.822
-6.914 -8.105 15.525
-5.053 -7.427 5.492
-7.810 -7.366 6.115
-1.804 -5.594 3.058
-5.362 -2.966 13.657
-4.742 -3.659 -0.147
-5.983 -8.242 13.191
-1.741 0.136 6.230
-7.563 -5.232 9.951
-11.382 -11.132 11.116
-5.560 -5.764 7.395
-9.230 -6.203 15.362
-4.897 -5.596 17.848
-4.342 -0.336 9.435
-6.624 -6.638 0.924
-8.781 -10.660 7.911
-2.399 -1.853 9.203
-10.724 -9.142 8.143
-8.225 -5.399 -0.502
-6.498 -4.358 16.422
-5.471 -10.366 1.902
-8.333 -7.019 4.711
-8.921 -12.321 4.087
-5.871 -4.257 7.321
-9.768 -5.424 14.144
-4.790 -3.977 12.635
-4.202 1.325 13.259
-7.652 -0.630 15.444
-3.111 0.012 5.501
-7.252 -6.738 10.025
-10.011 -11.008 11.845
-3.354 -5.572 3.202
-4.192 -8.516 4.281
-4.865 -1.439 14.364
-4.427 -3.107 1.635
-8.258 -9.556 2.982
-7.969 -4.010 5.057
-9.464 -7.825 12.179
-8.696 -7.889 15.711
-6.255 -7.396 7.031
-8.930 -2.479 13.065
-5.154 -6.985 12.290
-3.658 -3.170 5.167
-6.867 -3.599 10.315
-3.798 -1.560 8.786
-6.326 -5.279 17.579
-9.325 -9.435 8.560
-6.796 -5.717 -0.233

=====

Al3P4H18C3N3O16, relaxed, DFT GGA-PBE; crystal system = triclinic; total magnetization = 0.00 μB per formula unit; formation energy = -1654 meV per atom; E (MP2020) = -607.13 eV per cell
1.0
-8.475 0.000 0.000
0.928 11.382 0.000
-0.117 -3.505 -11.078
O H Al P C N
32 36 6 8 6 6
Cartesian
-0.949 0.282 -1.683
-7.008 5.500 -4.655
-0.657 2.376 -6.422
-3.178 1.233 -0.220
-4.926 2.831 -1.066
0.051 6.028 -2.643
-4.487 6.643 -10.858
-2.534 5.766 -7.216
-5.487 -1.975 -10.049
-2.178 9.852 -1.029
-6.716 7.594 -9.394
-2.714 2.342 -4.450
-0.530 6.638 -9.116
-7.716 1.849 -8.435
-4.951 5.535 -6.628
-3.589 7.441 -5.628
-2.739 5.046 -10.011
-0.492 4.007 -4.060
-7.485 6.779 -7.119
-4.179 7.462 -8.079
-3.486 0.415 -2.998
-6.879 4.023 -2.645
-4.076 0.435 -5.450
-0.902 -2.481 -8.087
-3.750 -0.133 -10.030
-7.173 3.870 -7.018
-0.180 1.097 -3.959
-3.915 8.010 -1.048
-6.763 10.357 -2.991
-5.131 2.111 -3.862
-0.786 3.854 -8.433
-7.135 1.239 -1.961
-1.958 0.080 -9.717
-6.209 -1.247 -7.245
-5.731 10.017 -4.279
-4.762 8.891 -5.186
-4.392 2.983 -9.416
-7.398 3.582 -10.723
-3.273 4.894 -1.661
-6.797 8.912 -1.978
-0.457 0.627 -9.021
-0.336 8.119 -4.811
-2.905 6.753 -3.962
-7.329 -0.243 -6.267
-7.692 -0.402 -10.781
-4.590 0.669 -8.762
-3.110 2.477 -8.284
-0.868 -1.035 -9.099
-4.760 1.124 -7.116
-1.456 9.123 -3.832
-0.624 2.535 -0.436
-4.490 3.444 -7.687
-0.030 9.868 -4.592
-2.903 -1.015 -5.892
-5.707 7.797 -1.360
-3.075 7.208 -2.316
-7.208 7.250 -2.056
-2.409 8.724 -5.966
0.027 8.278 -0.296
-4.555 5.400 -2.794
-5.256 -0.847 -5.112
-1.699 6.306 -2.831
-1.934 -2.140 -6.799
-7.635 -1.991 -6.486
-7.041 5.341 -10.642
-0.267 4.295 -0.355
-5.965 1.570 -8.246
-3.175 4.433 -3.390
-0.986 2.461 -4.713
-6.679 5.415 -6.364
-4.986 7.764 -9.609
-2.679 0.113 -1.468
-6.019 2.524 -2.394
-1.646 5.353 -8.683
-8.214 0.362 -2.654
-7.836 4.908 -3.482
0.550 7.515 -8.424
-4.375 -1.239 -10.860
-3.290 9.115 -0.217
0.171 2.969 -7.596
-3.817 6.569 -6.863
-3.848 1.308 -4.214
-0.803 9.106 -4.711
-7.389 8.051 -0.152
-0.276 -0.174 -10.926
-4.182 2.667 -8.392
-6.862 -1.230 -6.367
-3.483 5.210 -2.686
-1.600 9.394 -5.934
-6.065 -1.517 -5.144
-4.934 1.417 -8.100
-0.936 -0.110 -9.594
-2.731 6.460 -2.978
-6.729 7.987 -1.484